[1]
{
  "formula": "DyGaCo",
  "functional": "r2SCAN",
  "state": "relaxed",
  "lattice_angstrom": [[7.0193, 0.0000, 0.0000], [0.0000, 4.3958, 0.0000], [0.0000, 0.0000, 6.7316]],
  "species": ["Dy", "Dy", "Dy", "Dy", "Ga", "Ga", "Ga", "Ga", "Co", "Co", "Co", "Co"],
  "fractional_positions": [[0.0261, 0.2500, 0.1950], [0.4739, 0.7500, 0.6950], [0.5261, 0.2500, 0.3050], [0.9739, 0.7500, 0.8050], [0.1937, 0.2500, 0.6099], [0.3063, 0.7500, 0.1099], [0.6937, 0.2500, 0.8901], [0.8063, 0.7500, 0.3901], [0.1496, 0.7500, 0.4375], [0.3504, 0.2500, 0.9375], [0.6496, 0.7500, 0.0625], [0.8504, 0.2500, 0.5625]],
  "formation_enthalpy_0k_mev_per_atom": -455,
  "final_energy_ev_per_atom": -19.342
}

***

[2]
{
  "formula": "As2SO6",
  "functional": "r2SCAN",
  "state": "relaxed",
  "lattice_angstrom": [[4.7016, 0.0000, 0.0000], [0.0000, 11.4496, 0.0000], [0.0000, 0.0000, 4.8080]],
  "species": ["As", "As", "As", "As", "S", "S", "O", "O", "O", "O", "O", "O", "O", "O", "O", "O", "O", "O"],
  "fractional_positions": [[0.2309, 0.1922, 0.3179], [0.2691, 0.6922, 0.6821], [0.7309, 0.3078, 0.6821], [0.7691, 0.8078, 0.3179], [0.0000, 0.5000, 0.3007], [0.5000, 0.0000, 0.6993], [0.0826, 0.2586, 0.6251], [0.1193, 0.4060, 0.1392], [0.2303, 0.5450, 0.4961], [0.2697, 0.0450, 0.5039], [0.3807, 0.9060, 0.8608], [0.4174, 0.7586, 0.3749], [0.5826, 0.2414, 0.3749], [0.6193, 0.0940, 0.8608], [0.7303, 0.9550, 0.5039], [0.7697, 0.4550, 0.4961], [0.8807, 0.5940, 0.1392], [0.9174, 0.7414, 0.6251]],
  "formation_enthalpy_0k_mev_per_atom": -1308,
  "final_energy_ev_per_atom": -9.451
}

***

[3]
{
  "formula": "Ho3Al2Ni6",
  "functional": "r2SCAN",
  "state": "relaxed",
  "lattice_angstrom": [[-4.4121, 4.4121, 4.4121], [4.4121, -4.4121, 4.4121], [4.4121, 4.4121, -4.4121]],
  "species": ["Ho", "Ho", "Ho", "Ho", "Ho", "Ho", "Al", "Al", "Al", "Al", "Ni", "Ni", "Ni", "Ni", "Ni", "Ni", "Ni", "Ni", "Ni", "Ni", "Ni", "Ni"],
  "fractional_positions": [[0.0000, 0.2939, 0.2939], [0.0000, 0.7061, 0.7061], [0.2939, 0.0000, 0.2939], [0.2939, 0.2939, 0.0000], [0.7061, 0.0000, 0.7061], [0.7061, 0.7061, 0.0000], [0.0000, 0.0000, 0.5000], [0.0000, 0.5000, 0.0000], [0.5000, 0.0000, 0.0000], [0.5000, 0.5000, 0.5000], [0.0000, 0.3344, 0.6656], [0.0000, 0.6656, 0.3344], [0.3312, 0.6656, 0.6656], [0.3344, 0.0000, 0.6656], [0.3344, 0.3344, 0.6688], [0.3344, 0.6656, 0.0000], [0.3344, 0.6688, 0.3344], [0.6656, 0.0000, 0.3344], [0.6656, 0.3312, 0.6656], [0.6656, 0.3344, 0.0000], [0.6656, 0.6656, 0.3312], [0.6688, 0.3344, 0.3344]],
  "formation_enthalpy_0k_mev_per_atom": -569,
  "final_energy_ev_per_atom": -17.296
}

***

[4]
{
  "formula": "AlPS4",
  "functional": "r2SCAN",
  "state": "relaxed",
  "lattice_angstrom": [[5.6914, 0.0000, 0.0000], [0.0000, 5.6914, 0.0000], [0.0000, 0.0000, 9.3640]],
  "species": ["Al", "Al", "P", "P", "S", "S", "S", "S", "S", "S", "S", "S"],
  "fractional_positions": [[0.0000, 0.0000, 0.2500], [0.0000, 0.0000, 0.7500], [0.0000, 0.5000, 0.2500], [0.5000, 0.0000, 0.7500], [0.2008, 0.2767, 0.1281], [0.2008, 0.7233, 0.3719], [0.2767, 0.2008, 0.6281], [0.2767, 0.7992, 0.8719], [0.7233, 0.2008, 0.8719], [0.7233, 0.7992, 0.6281], [0.7992, 0.2767, 0.3719], [0.7992, 0.7233, 0.1281]],
  "formation_enthalpy_0k_mev_per_atom": -694,
  "final_energy_ev_per_atom": -8.673
}

***

[5]
{
  "formula": "TbMgAg",
  "functional": "r2SCAN",
  "state": "relaxed",
  "lattice_angstrom": [[7.6920, 0.0000, 0.0000], [-3.8460, 6.6615, 0.0000], [0.0000, 0.0000, 4.1141]],
  "species": ["Tb", "Tb", "Tb", "Mg", "Mg", "Mg", "Ag", "Ag", "Ag"],
  "fractional_positions": [[0.0000, 0.5857, 0.0000], [0.4143, 0.4143, 0.0000], [0.5857, 0.0000, 0.0000], [0.0000, 0.2436, 0.5000], [0.2436, 0.0000, 0.5000], [0.7564, 0.7564, 0.5000], [0.0000, 0.0000, 0.0000], [0.3333, 0.6667, 0.5000], [0.6667, 0.3333, 0.5000]],
  "formation_enthalpy_0k_mev_per_atom": -286,
  "final_energy_ev_per_atom": -19.203
}

***

[6]
{
  "formula": "MgZn3S4",
  "functional": "r2SCAN",
  "state": "relaxed",
  "lattice_angstrom": [[6.3123, 0.0000, 0.0000], [0.0000, 3.8545, 0.0000], [-0.0053, 0.0000, 6.6932]],
  "species": ["Mg", "Zn", "Zn", "Zn", "S", "S", "S", "S"],
  "fractional_positions": [[0.0000, 0.0000, 0.0000], [0.4983, 0.0000, 0.6633], [0.4989, 0.5000, 0.1700], [0.9992, 0.5000, 0.5002], [0.1273, 0.0000, 0.6576], [0.1300, 0.5000, 0.1769], [0.6127, 0.0000, 0.9989], [0.6267, 0.5000, 0.5009]],
  "formation_enthalpy_0k_mev_per_atom": -1117,
  "final_energy_ev_per_atom": -8.996
}